Computed, not measured: a geometry-optimized LiEr4Ge4 structure at the GGA-PBE level of DFT.

Values from the calculation:
- Uncorrected energy: -5.120 eV/atom

a = 7.086 Å, b = 7.679 Å, c = 14.584 Å
α = 90.00°, β = 90.00°, γ = 90.00°
Element x y z (fractional)
Ge: 0.018 0.088 0.750
Ge: 0.833 0.534 0.037
Ge: 0.667 0.034 0.537
Ge: 0.482 0.588 0.250
Ge: 0.784 0.637 0.750
Ge: 0.982 0.912 0.250
Ge: 0.167 0.466 0.537
Ge: 0.216 0.363 0.250
Ge: 0.518 0.412 0.750
Ge: 0.333 0.966 0.037
Ge: 0.716 0.137 0.250
Ge: 0.833 0.534 0.463
Ge: 0.284 0.863 0.750
Ge: 0.333 0.966 0.463
Ge: 0.167 0.466 0.963
Ge: 0.667 0.034 0.963
Er: 0.172 0.676 0.372
Er: 0.672 0.824 0.128
Er: 0.172 0.676 0.128
Er: 0.986 0.814 0.597
Er: 0.514 0.314 0.403
Er: 0.014 0.186 0.097
Er: 0.514 0.314 0.097
Er: 0.672 0.824 0.372
Er: 0.486 0.686 0.903
Er: 0.828 0.324 0.628
Er: 0.328 0.176 0.872
Er: 0.486 0.686 0.597
Er: 0.828 0.324 0.872
Er: 0.328 0.176 0.628
Er: 0.986 0.814 0.903
Er: 0.014 0.186 0.403
Li: 0.658 0.979 0.750
Li: 0.158 0.521 0.750
Li: 0.842 0.479 0.250
Li: 0.342 0.021 0.250


Computed, not measured: a geometry-optimized Na4Ta3AlSi4P2O24 structure at the GGA-PBE level of DFT.

Values from the calculation:
- Uncorrected energy: -7.779 eV/atom
- Total energy after the MP2020 corrections: -936.27 eV/cell

a = 8.842 Å, b = 8.850 Å, c = 22.512 Å
α = 89.95°, β = 89.85°, γ = 119.97°
Element x y z (fractional)
Si: 0.951 0.335 0.588
Si: 0.626 0.666 0.916
Si: 0.389 0.339 0.087
Si: 0.945 0.614 0.087
Si: 0.043 0.379 0.917
Si: 0.048 0.680 0.415
Si: 0.667 0.616 0.587
Si: 0.706 0.008 0.749
Si: 0.627 0.958 0.415
Si: 0.665 0.050 0.087
Si: 0.299 0.287 0.748
Si: 0.333 0.958 0.917
Na: 0.635 0.628 0.747
Na: 0.705 0.675 0.415
Na: 0.335 0.670 0.666
Na: 0.994 0.994 0.997
Na: 0.029 0.337 0.084
Na: 0.661 0.327 0.326
Na: 0.995 0.364 0.748
Na: 0.307 0.973 0.084
Na: 0.004 0.998 0.499
Na: 0.340 0.666 0.166
Na: 0.658 0.324 0.833
Na: 0.968 0.298 0.414
O: 0.463 0.293 0.027
O: 0.698 0.183 0.741
O: 0.799 0.962 0.693
O: 0.306 0.478 0.756
O: 0.977 0.163 0.590
O: 0.032 0.829 0.694
O: 0.815 0.838 0.908
O: 0.187 0.164 0.094
O: 0.199 0.167 0.806
O: 0.164 0.468 0.258
O: 0.820 0.982 0.406
O: 0.529 0.691 0.258
O: 0.162 0.689 0.755
O: 0.834 0.307 0.244
O: 0.692 0.530 0.525
O: 0.707 0.170 0.027
O: 0.834 0.033 0.805
O: 0.368 0.498 0.361
O: 0.532 0.699 0.974
O: 0.832 0.534 0.026
O: 0.968 0.797 0.804
O: 0.145 0.644 0.077
O: 0.628 0.136 0.143
O: 0.298 0.461 0.471
O: 0.302 0.837 0.976
O: 0.506 0.147 0.923
O: 0.640 0.492 0.923
O: 0.017 0.842 0.406
O: 0.534 0.829 0.472
O: 0.841 0.030 0.093
O: 0.853 0.498 0.424
O: 0.841 0.811 0.590
O: 0.864 0.489 0.143
O: 0.503 0.636 0.857
O: 0.146 0.504 0.575
O: 0.497 0.643 0.575
O: 0.175 0.972 0.195
O: 0.496 0.858 0.359
O: 0.693 0.525 0.244
O: 0.520 0.825 0.755
O: 0.026 0.187 0.910
O: 0.497 0.132 0.640
O: 0.474 0.166 0.244
O: 0.363 0.863 0.859
O: 0.824 0.797 0.308
O: 0.167 0.696 0.473
O: 0.801 0.828 0.197
O: 0.497 0.362 0.423
O: 0.465 0.160 0.528
O: 0.636 0.498 0.644
O: 0.304 0.837 0.258
O: 0.163 0.466 0.976
O: 0.165 0.196 0.407
O: 0.494 0.319 0.741
O: 0.197 0.025 0.591
O: 0.362 0.865 0.576
O: 0.861 0.364 0.645
O: 0.835 0.302 0.526
O: 0.133 0.496 0.857
O: 0.494 0.856 0.078
O: 0.504 0.365 0.144
O: 0.136 0.628 0.360
O: 0.195 0.026 0.306
O: 0.349 0.499 0.078
O: 0.027 0.201 0.196
O: 0.162 0.195 0.693
O: 0.645 0.150 0.423
O: 0.982 0.817 0.093
O: 0.975 0.173 0.308
O: 0.159 0.972 0.909
O: 0.852 0.358 0.922
O: 0.838 0.530 0.744
Al: 0.660 0.327 0.686
Al: 0.000 0.995 0.351
Al: 0.666 0.333 0.184
Ta: 0.338 0.667 0.021
Ta: 0.004 0.008 0.855
Ta: 0.994 0.002 0.644
Ta: 0.669 0.332 0.481
Ta: 0.335 0.669 0.523
Ta: 0.337 0.670 0.814
Ta: 0.331 0.672 0.310
Ta: 0.667 0.334 0.978
Ta: 0.996 0.996 0.147
P: 0.000 0.712 0.749
P: 0.328 0.373 0.415
P: 0.714 0.705 0.252
P: 0.382 0.049 0.586
P: 0.291 0.011 0.252
P: 0.992 0.283 0.252


Computed, not measured: a geometry-optimized Tb15Ni28P21 structure at the GGA-PBE level of DFT.

Values from the calculation:
- Uncorrected energy: -6.449 eV/atom

a = 24.045 Å, b = 24.045 Å, c = 3.830 Å
α = 90.00°, β = 90.00°, γ = 120.00°
Element x y z (fractional)
P: 0.993 0.131 0.750
P: 0.138 0.007 0.750
P: 0.053 0.574 0.250
P: 0.862 0.993 0.250
P: 0.573 0.653 0.250
P: 0.309 0.030 0.750
P: 0.600 0.375 0.750
P: 0.521 0.947 0.250
P: 0.253 0.455 0.250
P: 0.177 0.894 0.250
P: 0.717 0.823 0.250
P: 0.347 0.920 0.250
P: 0.106 0.283 0.250
P: 0.823 0.106 0.750
P: 0.970 0.278 0.750
P: 0.798 0.253 0.750
P: 0.131 0.138 0.250
P: 0.920 0.573 0.750
P: 0.691 0.970 0.250
P: 0.722 0.691 0.750
P: 0.747 0.545 0.750
P: 0.894 0.717 0.750
P: 0.283 0.177 0.750
P: 0.030 0.722 0.250
P: 0.774 0.400 0.750
P: 0.278 0.309 0.250
P: 0.426 0.479 0.250
P: 0.574 0.521 0.750
P: 0.080 0.427 0.250
P: 0.545 0.798 0.250
P: 0.226 0.600 0.250
P: 0.400 0.625 0.250
P: 0.427 0.347 0.750
P: 0.869 0.862 0.750
P: 0.653 0.080 0.750
P: 0.455 0.202 0.750
P: 0.625 0.226 0.750
P: 0.947 0.426 0.750
P: 0.202 0.747 0.250
P: 0.479 0.053 0.750
P: 0.375 0.774 0.250
P: 0.007 0.869 0.250
Tb: 0.320 0.413 0.750
Tb: 0.242 0.070 0.250
Tb: 0.415 0.882 0.750
Tb: 0.828 0.758 0.250
Tb: 0.855 0.613 0.250
Tb: 0.145 0.387 0.750
Tb: 0.732 0.293 0.250
Tb: 0.882 0.467 0.250
Tb: 0.680 0.587 0.250
Tb: 0.093 0.680 0.750
Tb: 0.930 0.172 0.250
Tb: 0.707 0.439 0.250
Tb: 0.118 0.533 0.750
Tb: 0.439 0.732 0.750
Tb: 0.387 0.242 0.250
Tb: 0.758 0.145 0.250
Tb: 0.758 0.930 0.750
Tb: 0.242 0.855 0.750
Tb: 0.172 0.242 0.750
Tb: 0.613 0.758 0.750
Tb: 0.467 0.585 0.750
Tb: 0.561 0.268 0.250
Tb: 0.293 0.561 0.750
Tb: 0.070 0.828 0.750
Tb: 0.268 0.707 0.750
Tb: 0.533 0.415 0.250
Tb: 0.587 0.907 0.750
Tb: 0.907 0.320 0.250
Tb: 0.585 0.118 0.250
Tb: 0.413 0.093 0.250
Ni: 0.035 0.934 0.750
Ni: 0.814 0.507 0.750
Ni: 0.825 0.886 0.250
Ni: 0.864 0.212 0.750
Ni: 0.715 0.031 0.750
Ni: 0.043 0.242 0.750
Ni: 0.667 0.333 0.750
Ni: 0.630 0.019 0.250
Ni: 0.537 0.544 0.250
Ni: 0.333 0.667 0.250
Ni: 0.610 0.630 0.750
Ni: 0.965 0.066 0.250
Ni: 0.060 0.175 0.250
Ni: 0.993 0.537 0.750
Ni: 0.136 0.788 0.250
Ni: 0.456 0.993 0.250
Ni: 0.899 0.965 0.750
Ni: 0.390 0.370 0.250
Ni: 0.360 0.519 0.250
Ni: 0.160 0.640 0.250
Ni: 0.101 0.035 0.250
Ni: 0.463 0.456 0.750
Ni: 0.653 0.864 0.250
Ni: 0.981 0.610 0.250
Ni: 0.212 0.347 0.250
Ni: 0.347 0.136 0.750
Ni: 0.940 0.825 0.750
Ni: 0.801 0.043 0.250
Ni: 0.031 0.316 0.250
Ni: 0.758 0.801 0.750
Ni: 0.684 0.715 0.250
Ni: 0.640 0.481 0.750
Ni: 0.007 0.463 0.250
Ni: 0.199 0.957 0.750
Ni: 0.242 0.199 0.250
Ni: 0.066 0.101 0.750
Ni: 0.019 0.390 0.750
Ni: 0.481 0.840 0.250
Ni: 0.788 0.653 0.750
Ni: 0.969 0.684 0.750
Ni: 0.507 0.692 0.250
Ni: 0.370 0.981 0.750
Ni: 0.840 0.360 0.750
Ni: 0.934 0.899 0.250
Ni: 0.316 0.285 0.750
Ni: 0.692 0.186 0.750
Ni: 0.175 0.114 0.750
Ni: 0.308 0.814 0.250
Ni: 0.886 0.060 0.750
Ni: 0.544 0.007 0.750
Ni: 0.285 0.969 0.250
Ni: 0.114 0.940 0.250
Ni: 0.186 0.493 0.250
Ni: 0.957 0.758 0.250
Ni: 0.493 0.308 0.750
Ni: 0.519 0.160 0.750


Computed, not measured: a geometry-optimized Ba2IrO4 structure at the GGA-PBE level of DFT.

Values from the calculation:
- Uncorrected energy: -6.505 eV/atom
- Total energy after the MP2020 corrections: -48.28 eV/cell

a = 7.332 Å, b = 7.332 Å, c = 7.332 Å
α = 147.83°, β = 147.83°, γ = 46.14°
Element x y z (fractional)
O: 0.155 0.155 0.000
O: 0.500 0.000 0.500
O: 0.000 0.500 0.500
O: 0.845 0.845 0.000
Ba: 0.645 0.645 0.000
Ba: 0.355 0.355 0.000
Ir: 0.000 0.000 0.000


Computed values of volume (unit: Å³/f.u.) for the preceding records, in sequence: 198 509 959 111.
Computed values of formation enthalpy at 0 K (unit: meV/atom) for the preceding records, in sequence: -823.6 -3058.0 -1058.1 -2259.3.